Na6Ti4Si7Sn4S5O48 after structural relaxation, computed with GGA-PBE.

a = 17.647 Å, b = 8.826 Å, c = 22.663 Å
α = 89.90°, β = 90.02°, γ = 120.11°
Fractional positions:
Ti 0.822 0.333 0.690
O 0.178 0.488 0.080
O 0.416 0.515 0.740
O 0.082 0.951 0.192
O 0.653 0.853 0.972
O 0.745 0.350 0.420
S 0.312 0.665 0.916
Si 0.351 0.703 0.248
O 0.748 0.633 0.860
O 0.155 0.831 0.256
Si 0.143 0.283 0.751
Si 0.852 0.998 0.747
O 0.924 0.525 0.743
Ti 0.332 0.328 0.184
Sn 0.168 0.673 0.021
Si 0.019 0.667 0.413
O 0.426 0.491 0.429
Na 0.997 0.981 0.500
O 0.079 0.215 0.694
Si 0.812 0.674 0.917
S 0.836 0.051 0.083
Si 0.644 0.288 0.749
O 0.102 0.034 0.308
O 0.419 0.545 0.024
O 0.066 0.645 0.079
O 0.570 0.636 0.360
O 0.847 0.520 0.244
Si 0.331 0.038 0.084
O 0.845 0.542 0.524
O 0.820 0.497 0.641
O 0.586 0.201 0.412
O 0.488 0.812 0.084
O 0.926 0.362 0.927
Ti 0.326 0.321 0.695
Si 0.643 0.006 0.251
O 0.241 0.841 0.082
O 0.984 0.159 0.307
O 0.025 0.223 0.190
Sn 0.343 0.332 0.981
O 0.488 0.188 0.305
O 0.566 0.487 0.579
O 0.486 0.167 0.585
O 0.345 0.540 0.529
O 0.754 0.681 0.266
O 0.256 0.645 0.864
O 0.901 0.985 0.411
O 0.816 0.488 0.925
O 0.421 0.353 0.913
O 0.079 0.683 0.757
O 0.913 0.831 0.909
O 0.253 0.827 0.765
O 0.741 0.131 0.636
O 0.922 0.485 0.416
O 0.254 0.154 0.641
O 0.893 0.956 0.690
Sn 0.996 0.001 0.153
Na 0.176 0.673 0.172
O 0.681 0.487 0.365
O 0.016 0.193 0.916
O 0.924 0.538 0.030
Ti 0.333 0.322 0.475
O 0.179 0.487 0.367
Na 0.674 0.678 0.674
S 0.501 0.292 0.251
O 0.105 0.160 0.809
O 0.416 0.768 0.307
O 0.525 0.827 0.689
O 0.317 0.147 0.424
O 0.510 0.174 0.906
Sn 0.664 0.646 0.021
O 0.919 0.800 0.305
S 0.477 0.327 0.584
O 0.097 0.167 0.086
O 0.596 0.163 0.089
O 0.848 0.156 0.029
O 0.577 0.641 0.080
O 0.939 0.359 0.636
O 0.679 0.873 0.865
O 0.315 0.137 0.140
O 0.018 0.813 0.697
O 0.582 0.212 0.691
O 0.345 0.513 0.238
Si 0.518 0.368 0.912
Ti 0.167 0.681 0.308
O 0.416 0.001 0.408
O 0.089 0.198 0.414
O 0.578 0.945 0.196
Na 0.500 0.372 0.753
O 0.431 0.499 0.142
O 0.926 0.307 0.529
Ti 0.833 0.343 0.977
O 0.884 0.821 0.190
S 0.666 0.374 0.415
O 0.579 0.445 0.971
S 0.334 0.620 0.583
Na 0.662 0.307 0.918
O 0.095 0.034 0.588
Na 0.331 0.339 0.329
O 0.755 0.350 0.141
Sn 0.498 0.988 0.143
Ti 0.499 0.005 0.846
O 0.276 0.697 0.971
Na 0.993 0.000 0.997
O 0.239 0.349 0.135
O 0.439 0.350 0.638
O 0.425 0.311 0.530
O 0.584 0.682 0.761
O 0.400 0.818 0.909
O 0.340 0.136 0.022
O 0.383 0.948 0.689
Sn 0.668 0.662 0.521
O 0.919 0.817 0.588
O 0.245 0.180 0.243
O 0.069 0.495 0.578
S 0.001 0.707 0.751
O 0.247 0.866 0.361
O 0.252 0.633 0.579
O 0.916 0.318 0.241
S 0.186 0.327 0.082
Si 0.349 0.992 0.750
O 0.585 0.699 0.477
Na 0.833 0.326 0.837
O 0.392 0.834 0.193
O 0.328 0.525 0.637
Si 0.001 0.291 0.251
O 0.756 0.834 0.760
S 0.167 0.959 0.915
O 0.517 0.218 0.198
Na 0.496 0.645 0.245
O 0.608 0.053 0.311
O 0.654 0.480 0.756
O 0.347 0.175 0.744
O 0.773 0.715 0.976
Na 0.163 0.019 0.414
O 0.086 0.969 0.910
Na 0.496 0.998 0.006
Si 0.192 0.050 0.584
O 0.756 0.872 0.366
S 0.976 0.625 0.084
Na 0.998 0.348 0.751
Si 0.523 0.665 0.419
O 0.831 0.136 0.137
O 0.988 0.177 0.585
O 0.085 0.474 0.976
S 0.813 0.958 0.417
O 0.601 0.169 0.808
Ti 0.663 0.676 0.311
O 0.419 0.029 0.089
O 0.180 0.874 0.864
Si 0.693 0.333 0.085
O 0.847 0.180 0.734
O 0.652 0.827 0.262
O 0.424 0.316 0.246
O 0.776 0.855 0.473
O 0.244 0.139 0.920
O 0.742 0.639 0.581
Sn 0.838 0.349 0.479
O 0.152 0.478 0.761
O 0.419 0.037 0.805
O 0.225 0.307 0.027
O 0.516 0.841 0.416
O 0.756 0.876 0.080
O 0.680 0.870 0.581
O 0.011 0.845 0.408
O 0.918 0.067 0.804
Sn 0.996 0.016 0.854
O 0.746 0.136 0.922
O 0.567 0.489 0.855
O 0.483 0.807 0.806
O 0.246 0.357 0.424
O 0.743 0.167 0.243
Ti 0.667 0.656 0.810
O 0.741 0.307 0.744
Si 0.850 0.707 0.250
O 0.313 0.498 0.919
Na 0.672 0.667 0.161
Sn 0.494 0.990 0.653
O 0.255 0.680 0.262
O 0.917 0.031 0.085
O 0.070 0.502 0.860
O 0.414 0.804 0.585
Na 0.001 0.633 0.252
O 0.939 0.528 0.139
O 0.589 0.980 0.911
O 0.742 0.314 0.025
S 0.166 0.379 0.418
S 0.980 0.337 0.583
S 0.687 0.046 0.583
O 0.241 0.164 0.524
O 0.156 0.860 0.971
O 0.182 0.854 0.584
Sn 0.171 0.690 0.518
Sn 0.497 0.977 0.353
O 0.815 0.131 0.423
Si 0.149 0.009 0.248
Na 0.179 0.687 0.666
O 0.692 0.516 0.084
Sn 0.000 0.000 0.645
Si 0.480 0.622 0.083
O 0.600 0.030 0.586
Na 0.834 0.329 0.329
Si 0.501 0.711 0.750
Ti 0.166 0.652 0.813
O 0.984 0.782 0.803
O 0.281 0.843 0.476
Ti 0.827 0.330 0.194
Si 0.023 0.383 0.920
Si 0.832 0.625 0.584
Si 0.315 0.956 0.415
O 0.986 0.804 0.085
O 0.152 0.454 0.474
O 0.067 0.645 0.356
O 0.580 0.474 0.257
O 0.084 0.486 0.261
O 0.241 0.317 0.742
Ti 0.000 0.992 0.345
S 0.666 0.953 0.917
Na 0.492 0.985 0.495
O 0.729 0.147 0.528
O 0.657 0.450 0.472
O 0.078 0.707 0.474
Na 0.333 0.338 0.832

**Formation energy from the elements**: -2.57 eV/atom
**Total magnetization**: 0.00 μB/cell